*one*
Here is a geometry-optimized Li3MnF5 structure from Materials Project. Energies are from GGA+U.

Output
Total moment, Bohr magnetons per cell: 20.00
Space-group type: Pnma, No. 62

Cell and atoms, written as extended XYZ:
```
36
Lattice="6.615 0.000 0.000 0.000 7.980 0.000 0.000 0.000 8.259" Properties=species:S:1:pos:R:3 pbc="T T T"
Li 0.097 0.626 1.899
Li 0.097 3.364 1.899
Li 1.392 5.985 4.388
Li 1.915 1.995 0.259
Li 3.210 4.615 6.028
Li 3.210 7.354 6.028
Li 3.404 0.626 2.231
Li 3.404 3.364 2.231
Li 4.699 5.985 8.000
Li 5.223 1.995 3.871
Li 6.517 4.615 6.360
Li 6.517 7.354 6.360
Mn 1.516 1.995 4.979
Mn 1.791 5.985 0.850
Mn 4.823 1.995 7.409
Mn 5.098 5.985 3.280
F 0.055 5.985 7.832
F 0.464 1.995 3.148
F 0.585 5.985 2.625
F 1.488 4.108 5.386
F 1.488 7.861 5.386
F 1.819 0.118 1.256
F 1.819 3.872 1.256
F 2.722 1.995 6.754
F 2.843 5.985 7.277
F 3.252 1.995 3.703
F 3.363 5.985 4.556
F 3.771 1.995 0.982
F 3.893 5.985 1.505
F 4.796 4.108 7.003
F 4.796 7.861 7.003
F 5.126 0.118 2.873
F 5.126 3.872 2.873
F 6.029 1.995 5.634
F 6.151 5.985 5.111
F 6.559 1.995 0.427
```

***

*two*
Here is a geometry-optimized Li3MnF5 structure from Materials Project. Energies are from GGA+U.

Output
Total moment, Bohr magnetons per cell: 20.00
Space-group type: P2_12_12_1, No. 19

Cell and atoms, written as extended XYZ:
```
36
Lattice="5.862 0.000 0.000 0.000 6.033 0.000 0.000 0.000 10.840" Properties=species:S:1:pos:R:3 pbc="T T T"
Li 0.061 0.251 2.494
Li 0.363 0.787 7.938
Li 1.418 1.028 5.356
Li 1.513 5.005 10.776
Li 2.568 5.246 2.518
Li 2.870 5.782 7.915
Li 2.992 2.765 8.346
Li 3.294 2.230 2.902
Li 4.349 1.988 5.484
Li 4.444 4.044 0.064
Li 5.499 3.803 8.322
Li 5.802 3.267 2.926
Mn 1.151 2.101 0.419
Mn 1.780 3.932 5.839
Mn 4.082 0.916 10.422
Mn 4.711 5.117 5.001
F 0.042 0.134 0.490
F 0.343 3.609 10.084
F 0.974 5.386 4.119
F 1.144 4.848 7.639
F 1.330 3.888 1.798
F 1.601 2.145 7.218
F 1.787 1.185 2.219
F 1.957 0.647 9.539
F 2.588 2.424 4.664
F 2.889 5.899 5.910
F 2.973 2.882 10.350
F 3.274 5.440 0.756
F 3.905 3.663 6.721
F 4.075 4.201 3.201
F 4.261 5.161 9.042
F 4.532 0.871 3.622
F 4.718 1.831 8.621
F 4.888 2.370 1.301
F 5.519 0.593 6.176
F 5.820 3.150 4.930
```

***

What are the relative energies? In kJ/mol of atoms: *one* 0.0; *two* 5.5.